DFT (PBE-GGA) results for a relaxed structure of CeH8S2O12. Values from VASP.

```
&SYSTEM
  ibrav = 0, nat = 92, ntyp = 4
/
ATOMIC_SPECIES
Ce 140.12 Ce.upf
H 1.01 H.upf
S 32.06 S.upf
O 16.00 O.upf
CELL_PARAMETERS angstrom
5.753 0.000 0.000
0.000 11.216 0.000
0.000 0.000 14.843
ATOMIC_POSITIONS angstrom
Ce 3.595 8.412 12.302
Ce 5.035 8.412 4.880
Ce 2.158 2.804 2.541
Ce 0.718 2.804 9.962
H 5.529 7.631 10.028
H 3.101 9.193 2.607
H 0.224 2.023 4.814
H 2.652 3.585 12.236
H 0.224 3.585 4.814
H 2.652 2.023 12.236
H 5.529 9.193 10.028
H 3.101 7.631 2.607
H 2.157 6.997 14.712
H 0.720 9.828 7.291
H 3.597 1.389 0.130
H 5.033 4.219 7.552
H 3.597 4.219 0.130
H 5.033 1.389 7.552
H 2.157 9.828 14.712
H 0.720 6.997 7.291
H 1.747 6.198 13.414
H 1.129 10.626 5.993
H 4.006 0.590 1.428
H 4.624 5.018 8.850
H 4.006 5.018 1.428
H 4.624 0.590 8.850
H 1.747 10.626 13.414
H 1.129 6.198 5.993
H 4.928 7.619 0.167
H 3.702 9.205 7.589
H 0.825 2.011 14.676
H 2.051 3.597 7.254
H 0.825 3.597 14.676
H 2.051 2.011 7.254
H 4.928 9.205 0.167
H 3.702 7.619 7.589
S 2.194 6.225 9.633
S 0.682 10.600 2.212
S 3.559 0.616 5.210
S 5.071 4.992 12.631
S 3.559 4.992 5.210
S 5.071 0.616 12.631
S 2.194 10.600 9.633
S 0.682 6.225 2.212
O 2.018 4.761 9.925
O 0.858 0.847 2.503
O 3.735 10.370 4.918
O 4.895 6.455 12.339
O 3.735 6.455 4.918
O 4.895 10.370 12.339
O 2.018 0.847 9.925
O 0.858 4.761 2.503
O 2.390 6.928 10.952
O 0.487 9.897 3.531
O 3.364 1.319 3.891
O 5.266 4.289 11.312
O 3.364 4.289 3.891
O 5.266 1.319 11.312
O 2.390 9.897 10.952
O 0.487 6.928 3.531
O 3.400 6.384 8.790
O 5.230 10.440 1.369
O 2.353 0.776 6.053
O 0.524 4.832 13.474
O 2.353 4.832 6.053
O 0.524 0.776 13.474
O 3.400 10.440 8.790
O 5.230 6.384 1.369
O 0.977 6.772 8.994
O 1.900 10.052 1.572
O 4.777 1.164 5.849
O 3.853 4.444 13.271
O 4.777 4.444 5.849
O 3.853 1.164 13.271
O 0.977 10.052 8.994
O 1.900 6.772 1.572
O 5.049 8.412 10.407
O 3.581 8.412 2.986
O 0.705 2.804 4.436
O 2.172 2.804 11.857
O 2.259 6.989 13.722
O 0.618 9.835 6.301
O 3.494 1.381 1.121
O 5.136 4.227 8.542
O 3.494 4.227 1.121
O 5.136 1.381 8.542
O 2.259 9.835 13.722
O 0.618 6.989 6.301
O 4.711 8.412 14.448
O 3.919 8.412 7.027
O 1.042 2.804 0.395
O 1.834 2.804 7.816
```

Values from the calculation:
SG   Pnma (62)
DFT formation energy   -1.827 eV per atom
Total energy   -5.85 eV/atom